# GdBr (r²SCAN, optimized geometry)
data_GdBr
_chemical_formula_sum 'Gd2 Br2'
_cell_length_a 3.8642
_cell_length_b 3.8642
_cell_length_c 10.0733
_cell_angle_alpha 90.00
_cell_angle_beta 90.00
_cell_angle_gamma 120.00
_symmetry_space_group_name_H-M 'P -3 m 1'
_symmetry_Int_Tables_number 164
_symmetry_space_group_name_Hall '-P 3 2"'
loop_
_atom_site_label
_atom_site_fract_x
_atom_site_fract_y
_atom_site_fract_z
_atom_site_occupancy
Gd1 0.3333 0.6667 0.1406 1
Br1 0.3333 0.6667 0.6681 1
# Energy of formation from the pure elements   -1409 meV/atom

=====

# Gd2Br3 (r²SCAN, optimized geometry)
data_Gd2Br3
_chemical_formula_sum 'Gd4 Br6'
_cell_length_a 3.990
_cell_length_b 8.653
_cell_length_c 10.082
_cell_angle_alpha 103.81
_cell_angle_beta 101.38
_cell_angle_gamma 103.29
_symmetry_space_group_name_H-M 'P -1'
_symmetry_Int_Tables_number 2
loop_
_symmetry_equiv_pos_as_xyz
'x,y,z'
'-x,-y,-z'
loop_
_atom_site_label
_atom_site_fract_x
_atom_site_fract_y
_atom_site_fract_z
_atom_site_occupancy
Gd1 0.127 0.213 0.041 1
Gd2 0.351 0.986 0.714 1
Br1 0.194 0.650 0.737 1
Br2 0.344 0.185 0.505 1
Br3 0.393 0.663 0.123 1
# Energy of formation from the pure elements   -1733 meV/atom

=====

# Gd2Br3N (r²SCAN, optimized geometry)
data_Gd2Br3N
_chemical_formula_sum 'Gd8 Br12 N4'
_cell_length_a 8.331
_cell_length_b 8.392
_cell_length_c 10.339
_cell_angle_alpha 106.84
_cell_angle_beta 104.20
_cell_angle_gamma 98.81
_symmetry_space_group_name_H-M 'P -1'
_symmetry_Int_Tables_number 2
loop_
_symmetry_equiv_pos_as_xyz
'x,y,z'
'-x,-y,-z'
loop_
_atom_site_label
_atom_site_fract_x
_atom_site_fract_y
_atom_site_fract_z
_atom_site_occupancy
Gd1 0.074 0.420 0.359 1
Gd2 0.199 0.259 0.677 1
Gd3 0.346 0.578 0.060 1
Gd4 0.402 0.660 0.729 1
Br1 0.033 0.640 0.172 1
Br2 0.073 0.073 0.368 1
Br3 0.218 0.813 0.908 1
Br4 0.232 0.261 0.119 1
Br5 0.422 0.658 0.440 1
Br6 0.454 0.061 0.748 1
N1 0.152 0.477 0.594 1
N2 0.402 0.473 0.853 1
# Energy of formation from the pure elements   -2104 meV/atom

=====

# Na3GdBr6 (r²SCAN, optimized geometry)
data_Na3GdBr6
_chemical_formula_sum 'Na9 Gd3 Br18'
_cell_length_a 7.3347
_cell_length_b 7.3347
_cell_length_c 19.9467
_cell_angle_alpha 90.00
_cell_angle_beta 90.00
_cell_angle_gamma 120.00
_symmetry_space_group_name_H-M 'R 3'
_symmetry_Int_Tables_number 146
_symmetry_space_group_name_Hall 'R 3'
loop_
_atom_site_label
_atom_site_fract_x
_atom_site_fract_y
_atom_site_fract_z
_atom_site_occupancy
Na1 0.0000 0.0000 0.0000 1
Na2 0.0000 0.0000 0.1941 1
Na3 0.0000 0.0000 0.7004 1
Gd1 0.0000 0.0000 0.5067 1
Br1 0.0016 0.6982 0.5959 1
Br2 0.0061 0.3620 0.7647 1
# Energy of formation from the pure elements   -1937 meV/atom
# Relative energy among the computed polymorphs   0.000 eV/atom